Here is KRb2AsCl6 after structural relaxation from the Materials Project database. Energies are from PBE.

Total magnetic moment ... 0.0 μB per formula unit
Formation energy ... -1.8051 eV per atom
Corrected total energy (MP2020 scheme) ... -3.69 eV per atom
Calculated total energy ... -3.319 eV/atom

abc: 10.987 10.987 10.987
angles: 90.00 90.00 90.00
Space group Fm-3m (No. 225)
One atom of each set of equivalent atoms:
K 0.000 0.000 0.000
Rb 0.250 0.250 0.250
As 0.000 0.000 0.500
Cl 0.000 0.000 0.272